a) Density functional theory data (GGA+U) for a geometry-optimized V6O5F19 structure.

**SG**: P1
**Crystal system**: triclinic
**Magnetic moment**: 0.033 μB/atom

Cell: 5.383 5.587 14.941 Å, 100.54 89.60 93.60°
Fractional positions:
1 V 0.036 0.956 0.996
2 V 0.542 0.798 0.670
3 V 0.963 0.723 0.339
4 V 0.541 0.465 0.003
5 V 0.036 0.290 0.664
6 V 0.480 0.183 0.331
7 O 0.810 0.968 0.365
8 O 0.759 0.623 0.684
9 O 0.759 0.292 0.018
10 O 0.216 0.733 0.981
11 O 0.218 0.068 0.650
12 F 0.732 0.780 0.027
13 F 0.286 0.863 0.311
14 F 0.907 0.948 0.886
15 F 0.563 0.817 0.553
16 F 0.921 0.624 0.221
17 F 0.411 0.878 0.780
18 F 0.095 0.674 0.442
19 F 0.410 0.545 0.113
20 F 0.691 0.491 0.356
21 F 0.270 0.550 0.638
22 F 0.209 0.332 0.301
23 F 0.561 0.478 0.885
24 F 0.908 0.276 0.554
25 F 0.608 0.107 0.221
26 F 0.065 0.420 0.781
27 F 0.424 0.208 0.449
28 F 0.069 0.081 0.113
29 F 0.734 0.113 0.696
30 F 0.273 0.214 0.971

---

b) Density functional theory data (GGA+U) for a geometry-optimized V6O5F19 structure.

**SG**: P1
**Crystal system**: triclinic
**Magnetic moment**: 0.033 μB/atom

Cell: 5.305 5.526 14.817 Å, 100.18 90.00 90.68°
Fractional positions:
1 V 0.044 0.033 0.005
2 V 0.529 0.119 0.330
3 V 0.980 0.277 0.664
4 V 0.545 0.464 0.995
5 V 0.010 0.652 0.334
6 V 0.522 0.775 0.664
7 O 0.795 0.030 0.642
8 O 0.721 0.215 0.978
9 O 0.705 0.531 0.643
10 O 0.222 0.285 0.022
11 O 0.704 0.871 0.310
12 F 0.276 0.148 0.692
13 F 0.900 0.038 0.113
14 F 0.577 0.227 0.448
15 F 0.914 0.398 0.780
16 F 0.406 0.142 0.221
17 F 0.081 0.314 0.554
18 F 0.403 0.465 0.887
19 F 0.799 0.350 0.309
20 F 0.777 0.695 0.976
21 F 0.293 0.482 0.359
22 F 0.222 0.645 0.692
23 F 0.557 0.559 0.115
24 F 0.903 0.717 0.449
25 F 0.583 0.901 0.780
26 F 0.071 0.633 0.216
27 F 0.417 0.814 0.554
28 F 0.055 0.942 0.885
29 F 0.274 0.808 0.024
30 F 0.217 0.968 0.358

---

On energetic grounds, b) is preferred over the next structure by 0.7 kJ/mol of atoms.

---

a) Density functional theory data (GGA+U) for a geometry-optimized V6O11F structure.

**SG**: Amm2
**Crystal system**: orthorhombic
**Magnetic moment**: 0.389 μB/atom

Cell: 10.474 10.474 2.946 Å, 90.00 90.00 144.02°
Fractional positions:
1 V 0.009 0.991 0.000
2 V 0.171 0.829 0.500
3 V 0.499 0.501 0.500
4 V 0.661 0.339 0.000
5 V 0.335 0.665 0.000
6 V 0.821 0.179 0.500
7 O 0.069 0.931 0.500
8 O 0.708 0.710 0.000
9 O 0.290 0.292 0.000
10 O 0.971 0.635 0.000
11 O 0.640 0.971 0.000
12 O 0.597 0.403 0.500
13 O 0.269 0.731 0.500
14 O 0.731 0.269 0.500
15 O 0.399 0.601 0.500
16 O 0.365 0.029 0.000
17 O 0.029 0.360 0.000
18 F 0.935 0.065 0.500

---

b) Density functional theory data (GGA+U) for a geometry-optimized V6O11F structure.

**SG**: Amm2
**Crystal system**: orthorhombic
**Magnetic moment**: 0.389 μB/atom

Cell: 10.331 10.331 2.938 Å, 90.00 90.00 142.69°
Fractional positions:
1 V 0.999 0.665 0.000
2 V 0.166 0.500 0.500
3 V 0.500 0.166 0.500
4 V 0.665 0.999 0.000
5 V 0.318 0.318 0.000
6 V 0.849 0.849 0.500
7 O 0.066 0.601 0.500
8 O 0.696 0.363 0.000
9 O 0.303 0.971 0.000
10 O 0.971 0.303 0.000
11 O 0.601 0.066 0.500
12 O 0.271 0.401 0.500
13 O 0.730 0.931 0.500
14 O 0.401 0.271 0.500
15 O 0.363 0.696 0.000
16 O 0.036 0.036 0.000
17 O 0.931 0.730 0.500
18 F 0.632 0.632 0.000

---

c) Density functional theory data (GGA+U) for a geometry-optimized V6O11F structure.

**SG**: P1
**Crystal system**: triclinic

Cell: 4.616 5.531 7.532 Å, 85.81 89.22 89.01°
Fractional positions:
1 V 0.523 0.847 0.674
2 V 0.481 0.482 0.990
3 V 0.492 0.169 0.334
4 V 0.984 0.321 0.662
5 V 0.981 0.665 0.311
6 V 0.008 0.005 0.008
7 O 0.802 0.366 0.432
8 O 0.797 0.691 0.108
9 O 0.810 0.041 0.771
10 O 0.692 0.204 0.104
11 O 0.713 0.536 0.764
12 O 0.695 0.864 0.446
13 O 0.301 0.140 0.574
14 O 0.305 0.464 0.232
15 O 0.313 0.800 0.887
16 O 0.208 0.963 0.243
17 O 0.201 0.307 0.899
18 F 0.195 0.633 0.559

---

On energetic grounds, c) is preferred over the next structure by 0.6 kJ/mol of atoms.

---

a) Density functional theory data (GGA+U) for a geometry-optimized V6O11F structure.

**SG**: Cm
**Crystal system**: monoclinic
**Magnetic moment**: 0.389 μB/atom

Cell: 5.479 5.479 7.231 Å, 71.74 71.74 71.54°
Fractional positions:
1 V 0.327 0.327 0.170
2 V 0.661 0.661 0.332
3 V 0.349 0.349 0.670
4 V 0.669 0.669 0.842
5 V 0.996 0.996 0.489
6 V 0.998 0.998 0.014
7 O 0.975 0.373 0.326
8 O 0.624 0.034 0.672
9 O 0.763 0.763 0.032
10 O 0.441 0.441 0.365
11 O 0.893 0.893 0.297
12 O 0.231 0.231 0.967
13 O 0.573 0.573 0.632
14 O 0.700 0.294 0.998
15 O 0.373 0.975 0.326
16 O 0.034 0.624 0.672
17 O 0.294 0.700 0.998
18 F 0.101 0.101 0.700

---

b) Density functional theory data (GGA+U) for a geometry-optimized V6O11F structure.

**SG**: Amm2
**Crystal system**: orthorhombic
**Magnetic moment**: 0.389 μB/atom

Cell: 4.621 4.621 8.978 Å, 90.00 90.00 91.94°
Fractional positions:
1 V 0.983 0.017 0.819
2 V 0.009 0.991 0.500
3 V 0.983 0.017 0.181
4 V 0.479 0.521 0.668
5 V 0.534 0.466 0.000
6 V 0.479 0.521 0.332
7 O 0.801 0.199 0.676
8 O 0.801 0.199 0.324
9 O 0.807 0.193 0.000
10 O 0.308 0.299 0.836
11 O 0.310 0.303 0.500
12 O 0.308 0.299 0.164
13 O 0.701 0.692 0.836
14 O 0.697 0.690 0.500
15 O 0.701 0.692 0.164
16 O 0.203 0.797 0.673
17 O 0.203 0.797 0.327
18 F 0.196 0.804 0.000

---

On energetic grounds, b) is preferred over the next structure by 0.6 kJ/mol of atoms.

---

a) Density functional theory data (GGA+U) for a geometry-optimized V3OF7 structure.

**SG**: Pnma
**Crystal system**: orthorhombic
**Magnetic moment**: 0.545 μB/atom

Cell: 4.027 9.971 15.360 Å, 90.00 90.00 90.00°
Fractional positions:
1 V 0.489 0.250 0.040
2 V 0.496 0.573 0.179
3 V 0.496 0.927 0.179
4 V 0.996 0.073 0.321
5 V 0.996 0.427 0.321
6 V 0.989 0.750 0.460
7 V 0.011 0.250 0.540
8 V 0.004 0.573 0.679
9 V 0.004 0.927 0.679
10 V 0.504 0.073 0.821
11 V 0.504 0.427 0.821
12 V 0.511 0.750 0.960
13 O 0.495 0.750 0.207
14 O 0.995 0.250 0.293
15 O 0.005 0.750 0.707
16 O 0.505 0.250 0.793
17 F 0.989 0.250 0.037
18 F 0.511 0.614 0.052
19 F 0.511 0.886 0.052
20 F 0.490 0.116 0.134
21 F 0.490 0.384 0.134
22 F 0.995 0.965 0.198
23 F 0.995 0.535 0.198
24 F 0.495 0.035 0.302
25 F 0.495 0.465 0.302
26 F 0.990 0.616 0.366
27 F 0.990 0.884 0.366
28 F 0.011 0.114 0.448
29 F 0.011 0.386 0.448
30 F 0.489 0.750 0.463
31 F 0.511 0.250 0.537
32 F 0.989 0.614 0.552
33 F 0.989 0.886 0.552
34 F 0.010 0.116 0.634
35 F 0.010 0.384 0.634
36 F 0.505 0.535 0.698
37 F 0.505 0.965 0.698
38 F 0.005 0.035 0.802
39 F 0.005 0.465 0.802
40 F 0.510 0.616 0.866
41 F 0.510 0.884 0.866
42 F 0.489 0.114 0.948
43 F 0.489 0.386 0.948
44 F 0.011 0.750 0.963

---

b) Density functional theory data (GGA+U) for a geometry-optimized V3OF7 structure.

**SG**: P1
**Crystal system**: triclinic
**Magnetic moment**: 0.545 μB/atom

Cell: 4.033 7.982 10.010 Å, 90.16 89.96 104.65°
Fractional positions:
1 V 0.461 0.920 0.749
2 V 0.679 0.358 0.928
3 V 0.321 0.641 0.428
4 V 0.539 0.080 0.251
5 V 0.679 0.359 0.573
6 V 0.321 0.644 0.072
7 O 0.711 0.422 0.751
8 O 0.292 0.580 0.250
9 F 0.037 0.075 0.250
10 F 0.963 0.926 0.748
11 F 0.556 0.111 0.611
12 F 0.550 0.104 0.882
13 F 0.448 0.894 0.117
14 F 0.443 0.889 0.387
15 F 0.634 0.267 0.114
16 F 0.631 0.263 0.382
17 F 0.368 0.736 0.617
18 F 0.368 0.734 0.886
19 F 0.199 0.398 0.969
20 F 0.201 0.404 0.535
21 F 0.802 0.603 0.034
22 F 0.797 0.595 0.467

---

On energetic grounds, b) is preferred over the next structure by 0.7 kJ/mol of atoms.

---

a) Density functional theory data (GGA+U) for a geometry-optimized V3O4F2 structure.

**SG**: Pmn2_1
**Crystal system**: orthorhombic
**Magnetic moment**: 0.556 μB/atom

Cell: 4.708 4.713 9.034 Å, 90.00 90.00 90.00°
Fractional positions:
1 V 0.988 0.714 0.846
2 V 0.988 0.714 0.154
3 V 0.020 0.748 0.500
4 V 0.520 0.252 0.000
5 V 0.488 0.286 0.654
6 V 0.488 0.286 0.346
7 O 0.208 0.530 0.000
8 O 0.197 0.560 0.328
9 O 0.197 0.560 0.672
10 O 0.697 0.440 0.828
11 O 0.697 0.440 0.172
12 O 0.708 0.470 0.500
13 O 0.302 0.059 0.500
14 O 0.802 0.941 0.000
15 F 0.301 0.047 0.830
16 F 0.301 0.047 0.170
17 F 0.801 0.953 0.670
18 F 0.801 0.953 0.330

---

b) Density functional theory data (GGA+U) for a geometry-optimized V3O4F2 structure.

**SG**: P1
**Crystal system**: triclinic
**Magnetic moment**: 0.556 μB/atom
**Piezoelectric modulus e_max**: 1.15 C/m²

Cell: 5.116 5.581 5.096 Å, 91.86 61.55 63.41°
Fractional positions:
1 V 0.314 0.062 0.347
2 V 0.732 0.435 0.137
3 V 0.683 0.989 0.645
4 O 0.536 0.214 0.068
5 O 0.181 0.243 0.751
6 O 0.881 0.200 0.399
7 O 0.721 0.767 0.311
8 F 0.186 0.740 0.519
9 F 0.534 0.755 0.929

---

On energetic grounds, a) is preferred over the next structure by 4.2 kJ/mol of atoms.

---

a) Density functional theory data (GGA+U) for a geometry-optimized V6O7F5 structure.

**SG**: Pm
**Crystal system**: monoclinic
**Magnetic moment**: 0.611 μB/atom

Cell: 9.319 4.692 4.699 Å, 87.30 90.00 90.00°
Fractional positions:
1 V 0.327 0.992 0.984
2 V 0.673 0.992 0.984
3 V 0.000 0.957 0.007
4 V 0.500 0.500 0.489
5 V 0.175 0.525 0.514
6 V 0.825 0.525 0.514
7 O 0.831 0.804 0.807
8 O 0.169 0.804 0.807
9 O 0.344 0.702 0.300
10 O 0.656 0.702 0.300
11 O 0.000 0.687 0.318
12 O 0.342 0.307 0.689
13 O 0.658 0.307 0.689
14 F 0.500 0.800 0.793
15 F 0.000 0.300 0.717
16 F 0.500 0.198 0.184
17 F 0.165 0.198 0.202
18 F 0.835 0.198 0.202

---

b) Density functional theory data (GGA+U) for a geometry-optimized V6O7F5 structure.

**SG**: P1
**Crystal system**: triclinic
**Magnetic moment**: 0.611 μB/atom

Cell: 4.663 5.616 7.801 Å, 86.22 88.69 88.48°
Fractional positions:
1 V 0.516 0.834 0.651
2 V 0.513 0.485 0.005
3 V 0.492 0.167 0.342
4 V 0.020 0.341 0.684
5 V 0.983 0.659 0.315
6 V 0.984 0.011 0.005
7 O 0.794 0.702 0.088
8 O 0.696 0.206 0.107
9 O 0.689 0.536 0.769
10 O 0.706 0.867 0.428
11 O 0.297 0.128 0.571
12 O 0.307 0.463 0.232
13 O 0.206 0.300 0.909
14 F 0.804 0.366 0.443
15 F 0.800 0.039 0.769
16 F 0.297 0.801 0.895
17 F 0.200 0.961 0.230
18 F 0.197 0.635 0.557

---

c) Density functional theory data (GGA+U) for a geometry-optimized V6O7F5 structure.

**SG**: P1
**Crystal system**: triclinic
**Magnetic moment**: 0.611 μB/atom

Cell: 4.753 5.599 7.778 Å, 84.98 89.13 87.14°
Fractional positions:
1 V 0.505 0.821 0.673
2 V 0.469 0.479 0.992
3 V 0.546 0.192 0.325
4 V 0.983 0.343 0.674
5 V 0.985 0.658 0.335
6 V 0.019 0.005 0.998
7 O 0.807 0.379 0.435
8 O 0.707 0.195 0.103
9 O 0.691 0.532 0.766
10 O 0.688 0.891 0.429
11 O 0.307 0.453 0.247
12 O 0.300 0.797 0.895
13 O 0.194 0.290 0.893
14 F 0.801 0.699 0.097
15 F 0.804 0.030 0.767
16 F 0.301 0.137 0.566
17 F 0.201 0.961 0.237
18 F 0.192 0.636 0.568

---

d) Density functional theory data (GGA+U) for a geometry-optimized V6O7F5 structure.

**SG**: P1
**Crystal system**: triclinic
**Magnetic moment**: 0.611 μB/atom

Cell: 5.753 6.072 6.145 Å, 101.32 99.01 100.04°
Fractional positions:
1 V 0.701 0.865 0.390
2 V 0.158 0.618 0.350
3 V 0.402 0.673 0.851
4 V 0.599 0.324 0.141
5 V 0.848 0.399 0.661
6 V 0.315 0.132 0.594
7 O 0.068 0.902 0.358
8 O 0.437 0.818 0.584
9 O 0.403 0.582 0.176
10 O 0.814 0.570 0.419
11 O 0.181 0.420 0.567
12 O 0.580 0.420 0.827
13 O 0.572 0.171 0.407
14 F 0.675 0.906 0.063
15 F 0.062 0.677 0.882
16 F 0.947 0.348 0.103
17 F 0.328 0.091 0.922
18 F 0.902 0.085 0.685

---

On energetic grounds, a) is preferred over the next structure by 0.7 kJ/mol of atoms.